Record 1
79
Lattice="6.583 0.000 0.000 2.546 8.457 0.000 1.627 2.401 16.630" Properties=species:S:1:pos:R:3 comment="Na6Mn7Fe6P12O48 | the Materials Project | PBE+U | relaxed" space_group="P1, No. 1" magmom_total_mub_per_cell=63.0 pbc="T T T"
Na 0.000 0.000 0.000
Na 0.842 1.216 8.260
Na 1.704 4.689 4.044
Na 4.952 5.067 4.325
Na 3.260 0.006 0.032
Na 9.077 6.242 12.534
Mn 2.451 3.483 10.216
Mn 3.096 1.719 4.705
Mn 5.799 8.611 14.617
Mn 4.144 1.262 8.283
Mn 4.988 2.210 1.949
Mn 6.441 4.754 7.264
Mn 8.267 7.440 6.340
Fe 3.560 8.014 3.598
Fe 3.933 5.980 15.562
Fe 4.403 6.134 9.404
Fe 7.668 9.219 11.947
Fe 6.830 4.933 0.987
Fe 7.135 2.947 12.973
P 1.690 2.133 1.706
P 4.528 8.853 11.365
P 3.051 4.246 7.026
P 3.684 5.508 1.237
P 3.739 3.313 13.563
P 4.987 7.618 6.612
P 5.750 3.278 10.067
P 7.004 7.566 3.069
P 7.077 5.332 15.353
P 7.753 6.772 9.634
P 6.242 2.125 5.180
P 9.092 8.811 14.841
O 2.364 5.727 9.661
O 0.959 1.511 4.614
O 3.680 7.791 14.609
O 1.133 0.718 1.911
O 2.586 3.290 12.484
O 2.385 4.755 0.722
O 3.799 7.321 5.661
O 2.745 3.074 8.033
O 4.210 7.389 10.940
O 4.932 9.711 10.126
O 3.435 6.018 2.666
O 2.181 2.127 0.223
O 3.873 4.805 13.996
O 4.450 7.571 8.079
O 3.413 2.383 14.741
O 3.320 3.707 5.603
O 2.874 2.510 2.626
O 4.030 6.594 0.201
O 5.637 8.849 12.447
O 4.299 4.985 7.588
O 5.533 9.079 6.544
O 4.576 4.291 10.278
O 5.703 8.082 3.716
O 5.902 6.369 15.210
O 4.874 4.469 1.322
O 5.072 2.839 12.898
O 6.164 6.663 6.295
O 5.116 1.859 10.216
O 6.455 6.000 9.249
O 5.128 2.061 4.088
O 6.749 4.283 16.426
O 7.908 8.445 13.914
O 7.392 8.447 1.865
O 6.802 6.058 2.613
O 7.657 7.363 11.033
O 6.356 3.234 8.660
O 5.791 1.304 6.441
O 8.603 8.813 16.315
O 6.491 3.625 5.482
O 7.984 7.877 8.535
O 7.336 4.678 13.972
O 6.928 3.577 11.055
O 8.129 7.515 4.151
O 8.367 6.144 15.782
O 9.635 10.246 14.609
O 7.100 3.162 1.937
O 9.830 9.486 12.013
O 8.468 5.267 6.909

Record 2
12
Lattice="2.821 -5.102 0.000 2.821 5.102 0.000 -1.474 0.000 5.083" Properties=species:S:1:pos:R:3 comment="Na2FeO3 | the Materials Project | PBE+U | relaxed" space_group="Cc, No. 9" polymorph_energy_ev_per_atom=0.001 piezo_max_c_m2=0.81 pbc="T T T"
Na 2.084 4.157 2.542
Na 1.381 2.580 5.032
Na 2.118 -2.580 2.490
Na 2.821 -4.157 0.000
Fe 1.976 0.638 2.413
Fe 1.240 -0.638 4.955
O 1.394 2.140 1.622
O 0.547 0.746 3.671
O 1.283 -0.746 1.130
O 0.657 -2.140 4.164
O 3.538 0.494 1.250
O 2.801 -0.494 3.792

Record 3
46
Lattice="9.413 0.000 0.000 0.000 5.408 6.199 0.000 -5.408 6.199" Properties=species:S:1:pos:R:3 comment="NdMo8O14 | the Materials Project | PBE+U | relaxed" space_group="Aea2, No. 41" magmom_total_mub_per_cell=42.0 pbc="T T T"
Nd 0.000 0.000 0.000
Nd 4.706 0.000 6.199
Mo 1.197 2.020 7.389
Mo 1.215 1.865 4.110
Mo 1.348 -0.918 5.754
Mo 1.370 -0.743 8.838
Mo 3.337 -0.743 2.639
Mo 3.359 4.489 5.754
Mo 3.491 -3.543 4.109
Mo 3.510 -3.388 7.389
Mo 5.903 3.388 7.389
Mo 5.921 3.543 4.110
Mo 6.054 -4.489 5.754
Mo 6.076 0.743 2.639
Mo 8.043 0.743 8.838
Mo 8.065 0.918 5.754
Mo 8.198 -1.865 4.109
Mo 8.216 -2.020 7.389
O 0.000 0.000 4.366
O 0.000 0.000 10.215
O 0.027 2.594 5.794
O 0.186 -2.508 8.713
O 1.950 3.979 7.291
O 2.275 -1.706 10.372
O 2.319 0.997 5.817
O 2.322 1.081 2.501
O 2.385 1.081 8.700
O 2.387 -4.411 5.817
O 2.432 -1.706 4.173
O 2.757 -1.429 7.291
O 4.521 2.900 8.713
O 4.679 -2.814 5.794
O 4.706 0.000 4.016
O 4.706 0.000 10.566
O 4.734 2.814 5.794
O 4.892 -2.900 8.713
O 6.656 1.429 7.291
O 6.981 1.706 4.173
O 7.026 4.411 5.817
O 7.028 -1.081 8.700
O 7.091 -1.081 2.501
O 7.094 -0.997 5.817
O 7.138 1.706 10.372
O 7.463 -3.979 7.291
O 9.227 2.508 8.713
O 9.386 -2.594 5.794

Number 1: final energy -562.60 eV per cell, energy of formation from the pure elements -2474 meV/atom. Number 2: final energy -62.93 eV per cell, energy of formation from the pure elements -1637 meV/atom. Number 3: final energy -336.58 eV per cell, energy of formation from the pure elements -1857 meV/atom.